Arrangement one

A relaxed structure of Cr3N4. Source: Materials Project, functional GGA-PBE.

Cell lengths 5.785, 5.785, 5.785 Å; angles 60.00, 60.00, 60.00 degrees
Positions (direct):
Cr1 0.750 0.750 0.750
N1 0.371 0.371 0.886
N2 0.364 0.879 0.879
N3 0.371 0.886 0.371
N4 0.879 0.879 0.879
Cr2 0.125 0.125 0.125
N5 0.879 0.879 0.364
Cr3 0.625 0.125 0.125
N6 0.886 0.371 0.371
N7 0.371 0.371 0.371
Cr4 0.125 0.625 0.125
Cr5 0.125 0.125 0.625
N8 0.879 0.364 0.879
Cr6 0.500 0.500 0.500

Results
* V: 137 Å³ per cell

---

Arrangement two

A relaxed structure of Cr3N4. Source: Materials Project, functional GGA-PBE.

Cell lengths 2.822, 9.350, 9.628 Å; angles 90.00, 90.00, 90.00 degrees
Positions (direct):
Cr1 0.250 0.419 0.380
Cr2 0.750 0.203 0.140
N1 0.250 0.237 0.293
Cr3 0.750 0.599 0.100
N2 0.250 0.737 0.207
N3 0.250 0.130 0.020
N4 0.250 0.106 0.534
Cr4 0.750 0.581 0.620
Cr5 0.250 0.297 0.640
N5 0.250 0.493 0.727
N6 0.750 0.507 0.273
N7 0.250 0.993 0.773
Cr6 0.750 0.703 0.360
N8 0.750 0.263 0.793
N9 0.750 0.394 0.034
Cr7 0.250 0.919 0.120
N10 0.750 0.870 0.980
N11 0.750 0.007 0.227
N12 0.750 0.763 0.707
Cr8 0.250 0.401 0.900
N13 0.750 0.370 0.520
Cr9 0.250 0.901 0.600
Cr10 0.750 0.099 0.400
N14 0.250 0.630 0.480
Cr11 0.250 0.797 0.860
N15 0.750 0.894 0.466
Cr12 0.750 0.081 0.880
N16 0.250 0.606 0.966

Results
* V: 254 Å³ per cell

---

Arrangement three

A relaxed structure of Cr3N4. Source: Materials Project, functional GGA-PBE.

Cell lengths 7.672, 7.672, 6.655 Å; angles 90.00, 90.00, 120.00 degrees
Positions (direct):
Cr1 0.196 0.241 0.515
N1 0.303 0.383 0.785
Cr2 0.045 0.804 0.515
Cr3 0.900 0.364 0.270
N2 0.000 0.000 0.169
N3 0.000 0.000 0.669
Cr4 0.759 0.955 0.515
Cr5 0.241 0.196 0.015
N4 0.046 0.368 0.502
Cr6 0.536 0.636 0.770
N5 0.383 0.303 0.285
N6 0.697 0.080 0.285
N7 0.632 0.677 0.502
N8 0.000 0.000 0.863
Cr7 0.955 0.759 0.015
N9 0.954 0.323 0.002
N10 0.000 0.000 0.363
N11 0.323 0.954 0.502
N12 0.677 0.632 0.002
N13 0.080 0.697 0.785
Cr8 0.364 0.900 0.770
Cr9 0.804 0.045 0.015
N14 0.617 0.920 0.785
N15 0.920 0.617 0.285
Cr10 0.464 0.100 0.270
Cr11 0.636 0.536 0.270
Cr12 0.100 0.464 0.770
N16 0.368 0.046 0.002

Results
* V: 339 Å³ per cell

---

Taking the most stable structure as the zero point, the relative energies in eV/atom are arrangement one 0.000; arrangement two 0.087; arrangement three 0.158.

---

Arrangement one

A relaxed structure of Cr3N4. Source: Materials Project, functional GGA-PBE.

Cell lengths 3.963, 3.963, 3.963 Å; angles 90.00, 90.00, 90.00 degrees
Positions (direct):
N1 0.000 0.500 0.000
Cr1 0.000 0.500 0.500
Cr2 0.500 0.500 0.000
N2 0.500 0.000 0.000
Cr3 0.500 0.000 0.500
N3 0.000 0.000 0.500
N4 0.500 0.500 0.500

Results
* V: 62 Å³ per cell

---

Arrangement two

A relaxed structure of Cr3N4. Source: Materials Project, functional GGA-PBE.

Cell lengths 5.891, 5.891, 5.891 Å; angles 109.47, 109.47, 109.47 degrees
Positions (direct):
N1 0.000 0.062 0.500
Cr1 0.625 0.375 0.250
Cr2 0.750 0.875 0.125
N2 0.062 0.500 0.000
Cr3 0.125 0.750 0.875
N3 0.000 0.562 0.500
N4 0.562 0.500 0.000
Cr4 0.250 0.625 0.375
Cr5 0.375 0.250 0.625
N5 0.500 0.000 0.062
N6 0.938 0.938 0.938
N7 0.500 0.000 0.562
N8 0.438 0.438 0.438
Cr6 0.875 0.125 0.750

Results
* V: 157 Å³ per cell

---

Arrangement three

A relaxed structure of Cr3N4. Source: Materials Project, functional GGA-PBE.

Cell lengths 4.812, 5.892, 9.948 Å; angles 90.00, 90.00, 90.00 degrees
Positions (direct):
Cr1 0.990 0.250 0.738
N1 0.250 0.486 0.333
N2 0.279 0.750 0.585
Cr2 0.000 0.000 0.000
N3 0.744 0.750 0.929
Cr3 0.010 0.750 0.262
N4 0.750 0.986 0.167
Cr4 0.414 0.250 0.909
N5 0.779 0.250 0.915
Cr5 0.086 0.250 0.409
N6 0.756 0.750 0.429
N7 0.250 0.014 0.333
Cr6 0.500 0.500 0.500
N8 0.750 0.514 0.167
N9 0.244 0.250 0.571
N10 0.721 0.250 0.415
N11 0.221 0.750 0.085
Cr7 0.500 0.000 0.500
Cr8 0.510 0.250 0.238
N12 0.250 0.014 0.833
N13 0.750 0.986 0.667
N14 0.256 0.250 0.071
Cr9 0.914 0.750 0.591
Cr10 0.490 0.750 0.762
N15 0.750 0.514 0.667
N16 0.250 0.486 0.833
Cr11 0.586 0.750 0.091
Cr12 0.000 0.500 0.000

Results
* V: 282 Å³ per cell

---

Arrangement four

A relaxed structure of Cr3N4. Source: Materials Project, functional GGA-PBE.

Cell lengths 7.637, 7.637, 2.753 Å; angles 90.00, 90.00, 120.00 degrees
Positions (direct):
Cr1 0.869 0.523 0.250
N1 0.049 0.688 0.750
N2 0.951 0.312 0.250
N3 0.333 0.667 0.250
N4 0.312 0.361 0.750
N5 0.361 0.049 0.250
Cr2 0.131 0.477 0.750
Cr3 0.477 0.346 0.250
N6 0.639 0.951 0.750
N7 0.667 0.333 0.750
Cr4 0.346 0.869 0.750
Cr5 0.654 0.131 0.250
Cr6 0.523 0.654 0.750
N8 0.688 0.639 0.250

Results
* V: 139 Å³ per cell

---

Taking the most stable structure as the zero point, the relative energies in eV/atom are arrangement one 0.195; arrangement two 0.079; arrangement three 0.147; arrangement four 0.000.

---

Arrangement one

A relaxed structure of Cr3N4. Source: Materials Project, functional GGA-PBE.

Cell lengths 13.541, 13.541, 9.406 Å; angles 90.00, 90.00, 120.00 degrees
Positions (direct):
N1 0.132 0.230 0.919
N2 0.328 0.000 0.250
N3 0.770 0.902 0.919
N4 0.902 0.132 0.081
N5 0.230 0.098 0.081
Cr1 0.019 0.813 0.085
N6 0.672 0.672 0.250
Cr2 0.187 0.205 0.085
Cr3 0.775 0.978 0.750
Cr4 0.205 0.019 0.915
N7 0.132 0.230 0.581
Cr5 0.205 0.019 0.585
Cr6 0.795 0.981 0.085
N8 0.902 0.132 0.419
Cr7 0.813 0.795 0.585
N9 0.094 0.873 0.250
Cr8 0.795 0.981 0.415
N10 0.000 0.328 0.250
N11 0.770 0.902 0.581
N12 0.098 0.868 0.919
Cr9 0.981 0.187 0.915
N13 0.906 0.127 0.750
N14 0.868 0.770 0.419
N15 0.221 0.094 0.750
Cr10 0.203 0.225 0.750
N16 0.098 0.868 0.581
N17 0.230 0.098 0.419
Cr11 0.981 0.187 0.585
Cr12 0.019 0.813 0.415
Cr13 0.797 0.775 0.250
Cr14 0.187 0.205 0.415
N18 0.873 0.779 0.750
Cr15 0.813 0.795 0.915
N19 0.328 0.328 0.750
N20 0.868 0.770 0.081
Cr16 0.225 0.022 0.250
N21 0.672 0.000 0.750
Cr17 0.022 0.797 0.750
N22 0.000 0.672 0.750
N23 0.127 0.221 0.250
Cr18 0.978 0.203 0.250
N24 0.779 0.906 0.250

Results
* V: 1494 Å³ per cell

---

Arrangement two

A relaxed structure of Cr3N4. Source: Materials Project, functional GGA-PBE.

Cell lengths 8.074, 8.074, 3.119 Å; angles 90.00, 90.00, 120.00 degrees
Positions (direct):
N1 0.038 0.706 0.250
N2 0.706 0.669 0.750
N3 0.962 0.294 0.750
Cr1 0.404 0.182 0.250
Cr2 0.182 0.778 0.750
N4 0.331 0.038 0.750
Cr3 0.596 0.818 0.750
N5 0.667 0.333 0.250
N6 0.333 0.667 0.750
Cr4 0.222 0.404 0.750
Cr5 0.778 0.596 0.250
N7 0.669 0.962 0.250
N8 0.294 0.331 0.250
Cr6 0.818 0.222 0.250

Results
* V: 176 Å³ per cell

---

Taking the most stable structure as the zero point, the relative energies in eV/atom are arrangement one 0.463; arrangement two 0.000.

---

Arrangement one

A relaxed structure of Cr3N2. Source: Materials Project, functional GGA-PBE.

Cell lengths 2.865, 2.865, 6.113 Å; angles 103.55, 103.55, 90.00 degrees
Positions (direct):
N1 0.168 0.168 0.337
Cr1 0.000 0.000 0.000
Cr2 0.653 0.653 0.306
N2 0.832 0.832 0.663
Cr3 0.347 0.347 0.694

Results
* V: 47 Å³ per cell

---

Arrangement two

A relaxed structure of Cr3N2. Source: Materials Project, functional GGA-PBE.

Cell lengths 6.867, 6.867, 7.570 Å; angles 78.17, 78.17, 22.91 degrees
Positions (direct):
Cr1 0.873 0.873 0.263
N1 0.291 0.291 0.152
N2 0.975 0.975 0.827
N3 0.385 0.385 0.463
Cr2 0.127 0.127 0.737
Cr3 0.199 0.199 0.391
N4 0.025 0.025 0.173
Cr4 0.801 0.801 0.609
Cr5 0.832 0.832 0.950
Cr6 0.543 0.543 0.341
Cr7 0.500 0.500 0.000
N5 0.709 0.709 0.848
Cr8 0.457 0.457 0.659
Cr9 0.168 0.168 0.050
N6 0.615 0.615 0.537

Results
* V: 136 Å³ per cell

---

Taking the most stable structure as the zero point, the relative energies in eV/atom are arrangement one 0.023; arrangement two 0.000.

---

Arrangement one

A relaxed structure of Cr3N2. Source: Materials Project, functional GGA-PBE.

Cell lengths 7.921, 7.921, 7.921 Å; angles 109.47, 109.47, 109.47 degrees
Positions (direct):
Cr1 0.278 0.043 0.052
Cr2 0.052 0.278 0.043
Cr3 0.448 0.492 0.227
Cr4 0.945 0.726 0.954
Cr5 0.765 0.222 0.273
N1 0.496 0.500 0.000
Cr6 0.492 0.227 0.448
N2 0.544 0.294 0.250
Cr7 0.228 0.774 0.719
N3 0.250 0.544 0.294
N4 0.705 0.750 0.455
Cr8 0.222 0.273 0.765
Cr9 0.008 0.457 0.735
Cr10 0.457 0.735 0.008
Cr11 0.991 0.546 0.272
Cr12 0.781 0.555 0.509
Cr13 0.546 0.272 0.991
Cr14 0.273 0.765 0.222
Cr15 0.555 0.509 0.781
N5 0.750 0.956 0.206
N6 0.004 0.004 0.004
N7 0.795 0.250 0.045
N8 0.294 0.250 0.544
N9 0.500 0.000 0.496
N10 0.750 0.455 0.705
N11 0.045 0.795 0.250
N12 0.455 0.705 0.750
Cr16 0.227 0.448 0.492
N13 0.206 0.750 0.956
Cr17 0.735 0.008 0.457
Cr18 0.272 0.991 0.546
Cr19 0.043 0.052 0.278
Cr20 0.719 0.228 0.774
Cr21 0.954 0.945 0.726
N14 0.956 0.206 0.750
Cr22 0.726 0.954 0.945
N15 0.250 0.045 0.795
N16 0.000 0.496 0.500
Cr23 0.774 0.719 0.228
Cr24 0.509 0.781 0.555

Results
* V: 383 Å³ per cell

---

Arrangement two

A relaxed structure of Cr3N2. Source: Materials Project, functional GGA-PBE.

Cell lengths 5.488, 5.488, 5.488 Å; angles 50.95, 50.95, 50.95 degrees
Positions (direct):
Cr1 0.750 0.425 0.075
Cr2 0.425 0.075 0.750
Cr3 0.250 0.575 0.925
N1 0.659 0.659 0.659
Cr4 0.075 0.750 0.425
Cr5 0.925 0.250 0.575
N2 0.841 0.841 0.841
N3 0.341 0.341 0.341
Cr6 0.575 0.925 0.250
N4 0.159 0.159 0.159

Results
* V: 92 Å³ per cell

---

Taking the most stable structure as the zero point, the relative energies in eV/atom are arrangement one 0.082; arrangement two 0.000.

---

Arrangement one

A relaxed structure of Cr3N2. Source: Materials Project, functional GGA-PBE.

Cell lengths 7.922, 7.922, 7.922 Å; angles 109.47, 109.47, 109.47 degrees
Positions (direct):
N1 0.750 0.456 0.706
N2 0.250 0.544 0.294
N3 0.000 0.000 0.000
Cr1 0.769 0.224 0.277
N4 0.750 0.956 0.206
Cr2 0.045 0.053 0.276
Cr3 0.053 0.276 0.045
Cr4 0.269 0.992 0.545
N5 0.250 0.044 0.794
N6 0.500 0.500 0.000
Cr5 0.723 0.231 0.776
Cr6 0.447 0.492 0.223
Cr7 0.545 0.269 0.992
Cr8 0.724 0.955 0.947
N7 0.000 0.500 0.500
Cr9 0.231 0.776 0.723
N8 0.794 0.250 0.044
Cr10 0.277 0.769 0.224
Cr11 0.492 0.223 0.447
N9 0.044 0.794 0.250
N10 0.456 0.706 0.750
Cr12 0.777 0.553 0.508
Cr13 0.992 0.545 0.269
N11 0.206 0.750 0.956
N12 0.706 0.750 0.456
Cr14 0.223 0.447 0.492
N13 0.500 0.000 0.500
Cr15 0.553 0.508 0.777
Cr16 0.276 0.045 0.053
Cr17 0.455 0.731 0.008
Cr18 0.508 0.777 0.553
Cr19 0.224 0.277 0.769
Cr20 0.955 0.947 0.724
Cr21 0.776 0.723 0.231
Cr22 0.008 0.455 0.731
N14 0.294 0.250 0.544
Cr23 0.731 0.008 0.455
N15 0.544 0.294 0.250
Cr24 0.947 0.724 0.955
N16 0.956 0.206 0.750

Results
* V: 383 Å³ per cell

---

Arrangement two

A relaxed structure of Cr3N2. Source: Materials Project, functional GGA-PBE.

Cell lengths 5.198, 5.198, 2.858 Å; angles 90.00, 90.00, 120.00 degrees
Positions (direct):
N1 0.667 0.333 0.924
Cr1 0.688 0.000 0.000
Cr2 0.000 0.688 0.000
Cr3 0.312 0.312 0.000
N2 0.333 0.667 0.076

Results
* V: 67 Å³ per cell

---

Taking the most stable structure as the zero point, the relative energies in eV/atom are arrangement one 0.000; arrangement two 0.729.